Record 1
## U6Al43V4 (PBE)

Data for a relaxed U6Al43V4 crystal.

Computed properties:
- crystal system = hexagonal
- space-group type = P6_3/mcm, No. 193

```
U6Al43V4
1.0
10.9767 0.0000 0.0000
-5.4884 9.5061 0.0000
0.0000 0.0000 17.4262
U Al V
12 86 8
Cartesian
-2.6031 4.5087 1.5649
-2.6031 4.5087 7.1482
-2.8853 4.9974 10.2780
-2.8853 4.9974 15.8613
5.2062 0.0000 1.5649
5.2062 0.0000 7.1482
2.6031 4.5087 10.2780
2.6031 4.5087 15.8613
5.7706 0.0000 10.2780
5.7706 0.0000 15.8613
2.8853 4.9974 1.5649
2.8853 4.9974 7.1482
-0.7958 1.3783 13.0697
-0.8673 1.5022 2.0077
-0.8673 1.5022 6.7054
-1.3905 2.4084 9.2302
-1.3905 2.4084 16.9091
-4.0979 7.0977 0.5171
-4.0979 7.0977 8.1960
-4.6211 8.0039 10.7208
-4.6211 8.0039 15.4185
-4.6926 8.1278 4.3566
-1.4387 5.2125 4.3566
-1.6935 5.6539 13.0697
1.5915 0.0000 13.0697
0.7958 1.3783 4.3566
1.7346 0.0000 2.0077
1.7346 0.0000 6.7054
0.8673 1.5022 10.7208
0.8673 1.5022 15.4185
-0.4115 3.7352 11.5840
-0.4115 3.7352 14.5554
-2.4593 7.2821 2.8709
-2.4593 7.2821 5.8422
0.4115 3.7352 2.8709
0.4115 3.7352 5.8422
-2.0478 7.9949 11.5840
-2.0478 7.9949 14.5554
0.0000 4.6930 0.0000
0.0000 4.6930 8.7131
-1.4241 7.1596 0.0000
-1.4241 7.1596 8.7131
2.7810 0.0000 9.2302
2.7810 0.0000 16.9091
1.3905 2.4084 0.5171
1.3905 2.4084 8.1960
0.0000 6.3374 2.2290
0.0000 6.3374 6.4841
0.0000 6.3374 10.9421
0.0000 6.3374 15.1972
3.4406 1.5113 11.5840
3.4406 1.5113 14.5554
3.0291 2.2240 2.8709
3.0291 2.2240 5.8422
1.4387 5.2125 13.0697
-0.2549 8.1458 4.3566
1.6935 5.6539 4.3566
0.2549 8.1458 13.0697
4.0642 2.3465 0.0000
4.0642 2.3465 8.7131
1.4241 7.1596 0.0000
1.4241 7.1596 8.7131
5.2335 1.3603 4.3566
3.7948 3.8522 13.0697
5.7432 1.3603 13.0697
4.0497 4.2936 4.3566
2.4593 7.2821 11.5840
2.4593 7.2821 14.5554
2.0478 7.9949 2.8709
2.0478 7.9949 5.8422
5.4884 3.1687 2.2290
5.4884 3.1687 6.4841
5.4884 3.1687 10.9421
5.4884 3.1687 15.1972
8.1958 0.0000 0.5171
8.1958 0.0000 8.1960
4.0979 7.0977 9.2302
4.0979 7.0977 16.9091
6.9125 2.3465 0.0000
6.9125 2.3465 8.7131
5.4884 4.8131 0.0000
5.4884 4.8131 8.7131
7.5362 1.5113 2.8709
7.5362 1.5113 5.8422
5.0769 5.7709 11.5840
5.0769 5.7709 14.5554
7.9477 2.2240 11.5840
7.9477 2.2240 14.5554
5.8999 5.7709 2.8709
5.8999 5.7709 5.8422
9.2422 0.0000 10.7208
9.2422 0.0000 15.4185
4.6211 8.0039 2.0077
4.6211 8.0039 6.7054
9.3852 0.0000 4.3566
4.6926 8.1278 13.0697
7.1819 3.8522 4.3566
6.9270 4.2936 13.0697
0.0000 0.0000 0.0000
0.0000 0.0000 8.7131
-1.4825 2.5678 4.3566
-4.0059 6.9383 13.0697
2.9650 0.0000 4.3566
1.4825 2.5678 13.0697
8.0117 0.0000 13.0697
4.0059 6.9383 4.3566
```


Record 2
## U6Al43W4 (PBE)

Data for a relaxed U6Al43W4 crystal.

Computed properties:
- crystal system = hexagonal
- space-group type = P6_3/mcm, No. 193

```
U6Al43W4
1.0
11.0127 0.0000 0.0000
-5.5064 9.5373 0.0000
0.0000 0.0000 17.5507
U Al W
12 86 8
Cartesian
-2.6219 4.5413 1.5576
-2.6219 4.5413 7.2178
-2.8844 4.9959 10.3329
-2.8844 4.9959 15.9931
5.2439 0.0000 1.5576
5.2439 0.0000 7.2178
2.6219 4.5413 10.3329
2.6219 4.5413 15.9931
5.7688 0.0000 10.3329
5.7688 0.0000 15.9931
2.8844 4.9959 1.5576
2.8844 4.9959 7.2178
-0.8088 1.4009 13.1630
-0.9035 1.5649 1.9887
-0.9035 1.5649 6.7867
-1.4145 2.4500 9.2874
-1.4145 2.4500 17.0386
-4.0918 7.0873 0.5120
-4.0918 7.0873 8.2633
-4.6029 7.9724 10.7640
-4.6029 7.9724 15.5620
-4.6976 8.1364 4.3877
-1.4522 5.2659 4.3877
-1.6720 5.6467 13.1630
1.6176 0.0000 13.1630
0.8088 1.4009 4.3877
-0.4198 3.7617 11.6359
-0.4198 3.7617 14.6902
-2.4585 7.2929 2.8605
-2.4585 7.2929 5.9148
1.8070 0.0000 1.9887
1.8070 0.0000 6.7867
0.9035 1.5649 10.7640
0.9035 1.5649 15.5620
0.4198 3.7617 2.8605
0.4198 3.7617 5.9148
-2.0387 8.0200 11.6359
-2.0387 8.0200 14.6902
0.0000 4.7066 0.0000
0.0000 4.7066 8.7753
-1.4304 7.1840 0.0000
-1.4304 7.1840 8.7753
2.8290 0.0000 9.2874
2.8290 0.0000 17.0386
1.4145 2.4500 0.5120
1.4145 2.4500 8.2633
0.0000 6.3582 2.2331
0.0000 6.3582 6.5422
0.0000 6.3582 11.0085
0.0000 6.3582 15.3176
3.4676 1.5173 11.6359
3.4676 1.5173 14.6902
3.0479 2.2444 2.8605
3.0479 2.2444 5.9148
1.4522 5.2659 13.1630
-0.2198 8.1620 4.3877
1.6720 5.6467 4.3877
0.2198 8.1620 13.1630
4.0760 2.3533 0.0000
4.0760 2.3533 8.7753
1.4304 7.1840 0.0000
1.4304 7.1840 8.7753
5.2865 1.3753 4.3877
3.8343 3.8906 13.1630
5.7262 1.3753 13.1630
4.0541 4.2714 4.3877
2.4585 7.2929 11.6359
2.4585 7.2929 14.6902
2.0387 8.0200 2.8605
2.0387 8.0200 5.9148
5.5064 3.1791 2.2331
5.5064 3.1791 6.5422
5.5064 3.1791 11.0085
5.5064 3.1791 15.3176
8.1837 0.0000 0.5120
8.1837 0.0000 8.2633
4.0918 7.0873 9.2874
4.0918 7.0873 17.0386
6.9367 2.3533 0.0000
6.9367 2.3533 8.7753
5.5064 4.8307 0.0000
5.5064 4.8307 8.7753
7.5451 1.5173 2.8605
7.5451 1.5173 5.9148
5.0866 5.7756 11.6359
5.0866 5.7756 14.6902
9.2057 0.0000 10.7640
9.2057 0.0000 15.5620
4.6029 7.9724 1.9887
4.6029 7.9724 6.7867
7.9649 2.2444 11.6359
7.9649 2.2444 14.6902
5.9261 5.7756 2.8605
5.9261 5.7756 5.9148
9.3951 0.0000 4.3877
4.6976 8.1364 13.1630
7.1784 3.8906 4.3877
6.9586 4.2714 13.1630
0.0000 0.0000 0.0000
0.0000 0.0000 8.7753
-1.4903 2.5813 4.3877
-4.0160 6.9560 13.1630
2.9806 0.0000 4.3877
1.4903 2.5813 13.1630
8.0321 0.0000 13.1630
4.0160 6.9560 4.3877
```


Record 3
## YUAl4 (PBE)

Data for a relaxed YUAl4 crystal.

Computed properties:
- crystal system = cubic
- space-group type = F-43m, No. 216

```
YUAl4
1.0
0.0000 3.9140 3.9140
3.9140 0.0000 3.9140
3.9140 3.9140 0.0000
Y U Al
1 1 4
Cartesian
0.0000 0.0000 0.0000
5.8710 5.8710 5.8710
2.9397 2.9397 2.9397
4.8883 4.8883 2.9397
4.8883 2.9397 4.8883
2.9397 4.8883 4.8883
```


Record 4
## Al27V (PBE)

Data for a relaxed Al27V crystal.

Computed properties:
- crystal system = cubic
- space-group type = Fd-3m, No. 227

```
Al27V
1.0
0.0000 10.0178 10.0178
10.0178 0.0000 10.0178
10.0178 10.0178 0.0000
Al V
54 2
Cartesian
0.0000 0.0000 0.0000
5.0089 5.0089 0.0000
5.0089 0.0000 5.0089
7.9566 4.7334 4.7334
10.2934 7.0701 4.7334
10.2934 4.7334 7.0701
2.5045 2.5045 2.5045
6.5850 6.5850 3.7975
8.4418 8.4418 3.7975
6.5850 3.7975 6.5850
11.2292 8.4418 6.5850
8.4418 3.7975 8.4418
11.2292 6.5850 8.4418
13.4507 11.5939 8.8064
13.4507 8.8064 11.5939
16.2381 11.5939 11.5939
12.0790 9.7423 9.7423
15.3023 12.9656 9.7423
15.3023 9.7423 12.9656
4.7334 7.9566 4.7334
7.0701 10.2934 4.7334
4.7334 4.7334 7.9566
10.2934 10.2934 7.9566
7.0701 4.7334 10.2934
10.2934 7.9566 10.2934
3.7975 6.5850 6.5850
8.4418 11.2292 6.5850
8.4418 6.5850 11.2292
0.0000 5.0089 5.0089
11.5939 13.4507 8.8064
11.5939 8.8064 13.4507
16.2381 13.4507 13.4507
9.7423 12.0790 9.7423
12.9656 15.3023 9.7423
9.7423 9.7423 12.0790
15.3023 15.3023 12.0790
12.9656 9.7423 15.3023
15.3023 12.0790 15.3023
4.7334 10.2934 7.0701
4.7334 7.0701 10.2934
7.9566 10.2934 10.2934
3.7975 8.4418 8.4418
6.5850 11.2292 8.4418
6.5850 8.4418 11.2292
8.8064 13.4507 11.5939
11.5939 16.2381 11.5939
8.8064 11.5939 13.4507
13.4507 16.2381 13.4507
11.5939 11.5939 16.2381
13.4507 13.4507 16.2381
17.5312 17.5312 17.5312
9.7423 15.3023 12.9656
9.7423 12.9656 15.3023
12.0790 15.3023 15.3023
7.5134 7.5134 7.5134
12.5223 12.5223 12.5223
```


Record 5
## Al10V (PBE)

Data for a relaxed Al10V crystal.

Computed properties:
- crystal system = cubic
- space-group type = Fd-3m, No. 227

```
Al10V
1.0
0.0000 7.2265 7.2265
7.2265 0.0000 7.2265
7.2265 7.2265 0.0000
Al V
40 4
Cartesian
0.0000 0.0000 0.0000
3.6133 3.6133 0.0000
3.6133 0.0000 3.6133
4.6627 2.7462 2.7462
8.0936 6.1771 2.7462
8.0936 2.7462 6.1771
9.7903 6.3594 6.3594
11.7069 8.2760 6.3594
11.7069 6.3594 8.2760
5.4199 5.4199 3.3936
5.4199 3.3936 5.4199
7.4461 5.4199 5.4199
2.7462 4.6627 2.7462
6.1771 8.0936 2.7462
2.7462 2.7462 4.6627
8.0936 8.0936 4.6627
6.1771 2.7462 8.0936
8.0936 4.6627 8.0936
9.0331 9.0331 7.0069
9.0332 7.0069 9.0331
11.0594 9.0331 9.0331
0.0000 3.6133 3.6133
3.3936 5.4199 5.4199
5.4199 7.4461 5.4199
5.4199 5.4199 7.4461
6.3594 9.7903 6.3594
8.2760 11.7069 6.3594
6.3594 6.3594 9.7903
11.7069 11.7069 9.7903
8.2760 6.3594 11.7069
11.7069 9.7903 11.7069
7.0069 9.0332 9.0332
9.0331 11.0594 9.0332
9.0332 9.0332 11.0594
2.7462 8.0936 6.1771
2.7462 6.1771 8.0936
4.6627 8.0936 8.0936
6.3594 11.7069 8.2760
6.3594 8.2760 11.7069
9.7903 11.7069 11.7069
7.2265 3.6133 3.6133
3.6133 7.2265 3.6133
3.6133 3.6133 7.2265
7.2265 7.2265 7.2265
```


Record 6
## AlV (PBE)

Data for a relaxed AlV crystal.

Computed properties:
- crystal system = orthorhombic
- space-group type = Cmmm, No. 65

```
AlV
1.0
1.7835 -1.9803 0.0000
1.7835 1.9803 0.0000
0.0000 0.0000 4.0479
Al V
1 1
Cartesian
0.0000 0.0000 0.0000
1.7835 0.0000 2.0239
```


Record 7
## Al41V4 (PBE)

Data for a relaxed Al41V4 crystal.

Computed properties:
- crystal system = cubic
- space-group type = F-43m, No. 216

```
Al41V4
1.0
0.0000 7.2330 7.2330
7.2330 0.0000 7.2330
7.2330 7.2330 0.0000
Al V
41 4
Cartesian
0.0000 0.0000 0.0000
7.9899 4.5612 4.5612
9.9049 6.4762 4.5612
9.9049 4.5612 6.4762
3.6165 3.6165 1.6020
3.6165 1.6020 3.6165
5.6310 3.6165 3.6165
6.2855 6.2855 2.8589
8.1806 8.1806 2.8589
6.2855 2.8589 6.2855
11.6071 8.1806 6.2855
8.1806 2.8589 8.1806
11.6071 6.2855 8.1806
7.2330 7.2330 5.2084
7.2330 5.2084 7.2330
9.2577 7.2330 7.2330
12.6654 9.0338 9.0338
1.6020 3.6165 3.6165
3.6165 5.6310 3.6165
3.6165 3.6165 5.6310
4.5612 7.9899 4.5612
6.4762 9.9049 4.5612
4.5612 4.5612 7.9899
9.9049 9.9049 7.9899
6.4762 4.5612 9.9049
9.9049 7.9899 9.9049
5.2084 7.2330 7.2330
7.2330 9.2577 7.2330
7.2330 7.2330 9.2577
2.8589 6.2855 6.2855
8.1806 11.6071 6.2855
8.1806 6.2855 11.6071
4.5612 9.9049 6.4762
4.5612 6.4762 9.9049
7.9899 9.9049 9.9049
9.0338 12.6654 9.0338
9.0338 9.0338 12.6654
12.6654 12.6654 12.6654
2.8589 8.1806 8.1806
6.2855 11.6071 8.1806
6.2855 8.1806 11.6071
5.4247 5.4247 5.4247
9.0413 9.0413 5.4247
9.0413 5.4247 9.0413
5.4247 9.0413 9.0413
```


Record 8
## AlV2 (PBE)

Data for a relaxed AlV2 crystal.

Computed properties:
- crystal system = orthorhombic
- space-group type = Fmmm, No. 69

```
AlV2
1.0
0.0000 2.1120 6.3307
1.5814 0.0000 6.3307
1.5814 2.1120 0.0000
Al V
1 2
Cartesian
0.0000 0.0000 0.0000
1.5814 2.1120 4.1669
1.5814 2.1120 8.4944
```


Record 9
## Al2W (PBE)

Data for a relaxed Al2W crystal.

Computed properties:
- crystal system = hexagonal
- space-group type = P6_422, No. 181

```
Al2W
1.0
4.8729 0.0000 0.0000
-2.4364 4.2200 0.0000
0.0000 0.0000 6.7868
Al W
6 3
Cartesian
0.0000 1.4225 0.0000
-1.2045 3.5088 4.5245
1.2319 0.7113 2.2623
1.2045 3.5088 2.2623
3.6409 0.7113 4.5245
2.4364 2.7975 0.0000
-1.2182 2.1100 2.2623
2.4364 0.0000 0.0000
1.2182 2.1100 4.5245
```


Ordered formation energy results: -191 -160 -245 1045 -93 -227 -90 -145 -35; unit meV/atom.